(1)
Material: Nb2C
Method: DFT, PBE
State: relaxed

Calculated values
The calculated density comes out at 7.6 Mg/m³. The energy of formation comes out at -447.9 meV per atom. The calculation puts the total energy at -10.258 eV/atom.

Lattice parameters (Å, degrees): 3.148 3.148 5.007 90.00 90.00 120.00
Sites, in units of the cell vectors:
1 Nb 0.333 0.667 0.250
2 Nb 0.667 0.333 0.750
3 C 0.000 0.000 0.500

---

(2)
Material: Ba2Cu3BrClO4
Method: DFT, PBE
State: relaxed

Calculated values
The calculated density comes out at 4.7 Mg/m³. The energy of formation comes out at -1735.3 meV per atom. The calculation puts the total energy at -5.068 eV/atom. As for the spin magnetization: 0.643 μB/f.u.

Lattice parameters (Å, degrees): 8.383 8.383 8.383 141.23 141.23 55.99
Sites, in units of the cell vectors:
1 Ba 0.134 0.134 0.000
2 Ba 0.866 0.866 0.000
3 Cu 0.000 0.500 0.500
4 Cu 0.500 0.000 0.500
5 Cu 0.500 0.500 0.000
6 Br 0.250 0.750 0.500
7 Cl 0.750 0.250 0.500
8 O 0.257 0.257 0.514
9 O 0.257 0.743 0.000
10 O 0.743 0.257 0.000
11 O 0.743 0.743 0.486

---

(3)
Material: RbGaO2
Method: DFT, PBE
State: relaxed

Calculated values
The calculated density comes out at 4.1 Mg/m³. The energy of formation comes out at -2051.0 meV per atom. The calculation puts the total energy at -5.184 eV/atom.

Lattice parameters (Å, degrees): 5.971 5.971 5.971 60.00 60.00 60.00
Sites, in units of the cell vectors:
1 Rb 0.125 0.125 0.125
2 Rb 0.875 0.875 0.875
3 Ga 0.375 0.375 0.375
4 Ga 0.625 0.625 0.625
5 O 0.000 0.500 0.500
6 O 0.500 0.000 0.500
7 O 0.500 0.500 0.000
8 O 0.500 0.500 0.500

---

(4)
Material: Sb6H3CCl13O10
Method: DFT, PBE
State: relaxed

Calculated values
The calculated density comes out at 3.1 Mg/m³. The energy of formation comes out at -1082.4 meV per atom. The calculation puts the total energy at -4.441 eV/atom. As for the spin magnetization: 0.000 μB/f.u.

Lattice parameters (Å, degrees): 13.778 14.981 18.405 90.00 130.00 90.00
Sites, in units of the cell vectors:
1 Sb 0.010 0.091 0.397
2 Sb 0.010 0.409 0.897
3 Sb 0.010 0.655 0.910
4 Sb 0.010 0.845 0.410
5 Sb 0.224 0.230 0.559
6 Sb 0.224 0.270 0.059
7 Sb 0.253 0.518 0.301
8 Sb 0.253 0.982 0.801
9 Sb 0.264 0.543 0.103
10 Sb 0.264 0.957 0.603
11 Sb 0.360 0.157 0.770
12 Sb 0.360 0.343 0.270
13 Sb 0.640 0.657 0.730
14 Sb 0.640 0.843 0.230
15 Sb 0.736 0.043 0.397
16 Sb 0.736 0.457 0.897
17 Sb 0.747 0.018 0.199
18 Sb 0.747 0.482 0.699
19 Sb 0.776 0.730 0.941
20 Sb 0.776 0.770 0.441
21 Sb 0.990 0.155 0.590
22 Sb 0.990 0.345 0.090
23 Sb 0.990 0.591 0.103
24 Sb 0.990 0.909 0.603
25 H 0.200 0.707 0.763
26 H 0.200 0.793 0.263
27 H 0.240 0.613 0.952
28 H 0.240 0.887 0.452
29 H 0.341 0.677 0.780
30 H 0.341 0.823 0.280
31 H 0.659 0.177 0.720
32 H 0.659 0.323 0.220
33 H 0.760 0.113 0.548
34 H 0.760 0.387 0.048
35 H 0.800 0.207 0.737
36 H 0.800 0.293 0.237
37 C 0.269 0.655 0.783
38 C 0.269 0.845 0.283
39 C 0.731 0.155 0.717
40 C 0.731 0.345 0.217
41 Cl 0.015 0.201 0.722
42 Cl 0.015 0.299 0.222
43 Cl 0.093 0.707 0.486
44 Cl 0.093 0.793 0.986
45 Cl 0.110 0.083 0.332
46 Cl 0.110 0.417 0.832
47 Cl 0.176 0.517 0.382
48 Cl 0.176 0.983 0.882
49 Cl 0.191 0.562 0.709
50 Cl 0.191 0.938 0.209
51 Cl 0.217 0.119 0.084
52 Cl 0.217 0.381 0.584
53 Cl 0.324 0.241 0.495
54 Cl 0.324 0.259 0.995
55 Cl 0.353 0.629 0.906
56 Cl 0.353 0.871 0.406
57 Cl 0.359 0.676 0.187
58 Cl 0.359 0.824 0.687
59 Cl 0.377 0.201 0.330
60 Cl 0.377 0.299 0.830
61 Cl 0.429 0.613 0.618
62 Cl 0.429 0.887 0.118
63 Cl 0.441 0.592 0.412
64 Cl 0.441 0.908 0.912
65 Cl 0.443 0.000 0.623
66 Cl 0.443 0.500 0.123
67 Cl 0.557 0.000 0.377
68 Cl 0.557 0.500 0.877
69 Cl 0.559 0.092 0.088
70 Cl 0.559 0.408 0.588
71 Cl 0.571 0.113 0.882
72 Cl 0.571 0.387 0.382
73 Cl 0.623 0.701 0.170
74 Cl 0.623 0.799 0.670
75 Cl 0.641 0.176 0.313
76 Cl 0.641 0.324 0.813
77 Cl 0.647 0.129 0.594
78 Cl 0.647 0.371 0.094
79 Cl 0.676 0.741 0.005
80 Cl 0.676 0.759 0.505
81 Cl 0.783 0.619 0.416
82 Cl 0.783 0.881 0.916
83 Cl 0.809 0.062 0.791
84 Cl 0.809 0.438 0.291
85 Cl 0.824 0.017 0.118
86 Cl 0.824 0.483 0.618
87 Cl 0.890 0.583 0.168
88 Cl 0.890 0.917 0.668
89 Cl 0.907 0.207 0.014
90 Cl 0.907 0.293 0.514
91 Cl 0.985 0.701 0.778
92 Cl 0.985 0.799 0.278
93 O 0.051 0.217 0.438
94 O 0.051 0.283 0.938
95 O 0.061 0.034 0.650
96 O 0.061 0.466 0.150
97 O 0.079 0.591 0.039
98 O 0.079 0.909 0.539
99 O 0.160 0.624 0.222
100 O 0.160 0.876 0.722
101 O 0.167 0.191 0.639
102 O 0.167 0.309 0.139
103 O 0.176 0.071 0.529
104 O 0.176 0.429 0.029
105 O 0.191 0.604 0.974
106 O 0.191 0.896 0.474
107 O 0.295 0.109 0.831
108 O 0.295 0.391 0.331
109 O 0.308 0.018 0.719
110 O 0.308 0.482 0.219
111 O 0.384 0.189 0.679
112 O 0.384 0.311 0.179
113 O 0.616 0.689 0.821
114 O 0.616 0.811 0.321
115 O 0.692 0.518 0.781
116 O 0.692 0.982 0.281
117 O 0.705 0.609 0.669
118 O 0.705 0.891 0.169
119 O 0.809 0.104 0.526
120 O 0.809 0.396 0.026
121 O 0.824 0.571 0.971
122 O 0.824 0.929 0.471
123 O 0.833 0.691 0.861
124 O 0.833 0.809 0.361
125 O 0.840 0.124 0.278
126 O 0.840 0.376 0.778
127 O 0.921 0.091 0.461
128 O 0.921 0.409 0.961
129 O 0.939 0.534 0.850
130 O 0.939 0.966 0.350
131 O 0.949 0.717 0.062
132 O 0.949 0.783 0.562

---

(5)
Material: Tb2AlGe6
Method: DFT, PBE
State: relaxed

Calculated values
The calculated density comes out at 6.9 Mg/m³. The energy of formation comes out at -410.3 meV per atom. The calculation puts the total energy at -4.938 eV/atom. As for the spin magnetization: 0.000 μB/f.u.

Lattice parameters (Å, degrees): 6.031 6.031 10.526 98.14 98.14 91.69
Sites, in units of the cell vectors:
1 Tb 0.161 0.665 0.661
2 Tb 0.335 0.839 0.339
3 Tb 0.665 0.161 0.661
4 Tb 0.839 0.335 0.339
5 Al 0.200 0.200 0.803
6 Al 0.800 0.800 0.197
7 Ge 0.066 0.495 0.118
8 Ge 0.069 0.069 0.118
9 Ge 0.148 0.148 0.561
10 Ge 0.361 0.361 0.413
11 Ge 0.491 0.491 0.118
12 Ge 0.495 0.066 0.118
13 Ge 0.505 0.934 0.882
14 Ge 0.509 0.509 0.882
15 Ge 0.639 0.639 0.587
16 Ge 0.852 0.852 0.439
17 Ge 0.931 0.931 0.882
18 Ge 0.934 0.505 0.882

---

(6)
Material: CeO2
Method: DFT, PBE
State: relaxed

Calculated values
The calculated density comes out at 7.7 Mg/m³. The energy of formation comes out at -3161.0 meV per atom. The calculation puts the total energy at -7.979 eV/atom. As for the spin magnetization: 0.002 μB/f.u.

Lattice parameters (Å, degrees): 4.102 4.102 4.102 132.00 132.00 70.23
Sites, in units of the cell vectors:
1 Ce 0.000 0.000 0.000
2 O 0.335 0.335 0.000
3 O 0.665 0.665 0.000

---

(7)
Material: TiH
Method: DFT, PBE
State: relaxed

Calculated values
The calculated density comes out at 4.1 Mg/m³. The energy of formation comes out at -450.5 meV per atom. The calculation puts the total energy at -6.005 eV/atom.

Lattice parameters (Å, degrees): 2.946 2.946 4.600 90.00 90.00 90.00
Sites, in units of the cell vectors:
1 Ti 0.000 0.500 0.000
2 Ti 0.500 0.000 0.500
3 H 0.000 0.000 0.250
4 H 0.000 0.000 0.750

---

(8)
Material: Na2EuCuCl6
Method: DFT, PBE
State: relaxed

Calculated values
The calculated density comes out at 2.8 Mg/m³. The energy of formation comes out at -1826.3 meV per atom. The calculation puts the total energy at -4.267 eV/atom.

Lattice parameters (Å, degrees): 7.323 7.323 7.323 60.00 60.00 60.00
Sites, in units of the cell vectors:
1 Na 0.250 0.250 0.250
2 Na 0.750 0.750 0.750
3 Eu 0.000 0.000 0.000
4 Cu 0.500 0.500 0.500
5 Cl 0.262 0.262 0.738
6 Cl 0.262 0.738 0.262
7 Cl 0.262 0.738 0.738
8 Cl 0.738 0.262 0.262
9 Cl 0.738 0.262 0.738
10 Cl 0.738 0.738 0.262

---

(9)
Material: Rb3IO5
Method: DFT, PBE
State: relaxed

Calculated values
The calculated density comes out at 4.1 Mg/m³. The energy of formation comes out at -1493.1 meV per atom. The calculation puts the total energy at -4.357 eV/atom. As for the spin magnetization: 0.000 μB/f.u.

Lattice parameters (Å, degrees): 8.700 9.213 9.313 90.00 90.00 90.00
Sites, in units of the cell vectors:
1 Rb 0.036 0.250 0.250
2 Rb 0.250 0.000 0.521
3 Rb 0.250 0.000 0.975
4 Rb 0.250 0.500 0.525
5 Rb 0.250 0.500 0.979
6 Rb 0.464 0.750 0.250
7 Rb 0.536 0.250 0.750
8 Rb 0.750 0.000 0.025
9 Rb 0.750 0.000 0.479
10 Rb 0.750 0.500 0.021
11 Rb 0.750 0.500 0.475
12 Rb 0.964 0.750 0.750
13 I 0.013 0.250 0.750
14 I 0.487 0.750 0.750
15 I 0.513 0.250 0.250
16 I 0.987 0.750 0.250
17 O 0.020 0.724 0.448
18 O 0.020 0.776 0.052
19 O 0.041 0.554 0.224
20 O 0.041 0.946 0.276
21 O 0.224 0.250 0.750
22 O 0.276 0.750 0.750
23 O 0.459 0.054 0.276
24 O 0.459 0.446 0.224
25 O 0.480 0.224 0.052
26 O 0.480 0.276 0.448
27 O 0.520 0.724 0.552
28 O 0.520 0.776 0.948
29 O 0.541 0.554 0.776
30 O 0.541 0.946 0.724
31 O 0.724 0.250 0.250
32 O 0.776 0.750 0.250
33 O 0.959 0.054 0.724
34 O 0.959 0.446 0.776
35 O 0.980 0.224 0.948
36 O 0.980 0.276 0.552

---

(10)
Material: Na8NbIn3Si5SO24
Method: DFT, PBE
State: relaxed

Calculated values
The calculated density comes out at 3.5 Mg/m³. The energy of formation comes out at -2558.7 meV per atom. The calculation puts the total energy at -6.427 eV/atom. As for the spin magnetization: 0.000 μB/f.u.

Lattice parameters (Å, degrees): 9.285 9.288 22.687 89.99 89.82 60.08
Sites, in units of the cell vectors:
1 Na 0.000 0.000 0.000
2 Na 0.001 0.380 0.501
3 Na 0.254 0.745 0.498
4 Na 0.255 0.383 0.000
5 Na 0.297 0.041 0.578
6 Na 0.299 0.042 0.080
7 Na 0.307 0.675 0.825
8 Na 0.314 0.404 0.333
9 Na 0.322 0.344 0.657
10 Na 0.327 0.719 0.165
11 Na 0.589 0.073 0.164
12 Na 0.598 0.713 0.661
13 Na 0.619 0.377 0.248
14 Na 0.629 0.387 0.741
15 Na 0.635 0.000 0.498
16 Na 0.639 0.745 0.997
17 Na 0.648 0.685 0.336
18 Na 0.666 0.030 0.830
19 Na 0.916 0.425 0.828
20 Na 0.930 0.043 0.340
21 Na 0.953 0.710 0.919
22 Na 0.963 0.714 0.423
23 Na 0.970 0.066 0.658
24 Na 0.974 0.340 0.160
25 Nb 0.630 0.375 0.596
26 Nb 0.631 0.377 0.098
27 Nb 0.962 0.721 0.261
28 In 0.306 0.031 0.725
29 In 0.307 0.028 0.434
30 In 0.308 0.034 0.229
31 In 0.309 0.033 0.937
32 In 0.621 0.376 0.399
33 In 0.628 0.387 0.901
34 In 0.951 0.711 0.753
35 In 0.963 0.708 0.564
36 In 0.964 0.709 0.063
37 Si 0.258 0.415 0.162
38 Si 0.260 0.705 0.663
39 Si 0.296 0.745 0.328
40 Si 0.331 0.376 0.495
41 Si 0.333 0.669 0.996
42 Si 0.596 0.042 0.328
43 Si 0.598 0.743 0.830
44 Si 0.633 0.085 0.994
45 Si 0.635 0.666 0.494
46 Si 0.667 0.011 0.662
47 Si 0.673 0.706 0.161
48 Si 0.925 0.082 0.494
49 Si 0.928 0.375 0.995
50 Si 0.963 0.009 0.160
51 Si 0.963 0.407 0.663
52 S 0.002 0.042 0.830
53 S 0.003 0.342 0.328
54 S 0.296 0.338 0.830
55 O 0.004 0.892 0.103
56 O 0.005 0.485 0.606
57 O 0.079 0.240 0.274
58 O 0.080 0.069 0.777
59 O 0.102 0.023 0.884
60 O 0.103 0.079 0.495
61 O 0.105 0.266 0.381
62 O 0.107 0.200 0.994
63 O 0.119 0.039 0.171
64 O 0.124 0.220 0.671
65 O 0.125 0.723 0.319
66 O 0.142 0.743 0.606
67 O 0.147 0.489 0.103
68 O 0.148 0.508 0.826
69 O 0.149 0.541 0.501
70 O 0.150 0.689 0.001
71 O 0.159 0.544 0.219
72 O 0.186 0.664 0.724
73 O 0.245 0.868 0.385
74 O 0.270 0.261 0.884
75 O 0.280 0.231 0.170
76 O 0.283 0.868 0.667
77 O 0.316 0.237 0.777
78 O 0.325 0.825 0.269
79 O 0.326 0.203 0.494
80 O 0.328 0.848 0.997
81 O 0.401 0.414 0.434
82 O 0.403 0.561 0.936
83 O 0.443 0.405 0.157
84 O 0.448 0.536 0.655
85 O 0.452 0.349 0.833
86 O 0.457 0.083 0.997
87 O 0.459 0.354 0.551
88 O 0.460 0.843 0.497
89 O 0.463 0.560 0.332
90 O 0.463 0.564 0.052
91 O 0.478 0.041 0.667
92 O 0.478 0.826 0.773
93 O 0.481 0.083 0.270
94 O 0.486 0.865 0.166
95 O 0.516 0.861 0.889
96 O 0.520 0.996 0.386
97 O 0.612 0.210 0.052
98 O 0.613 0.562 0.551
99 O 0.614 0.555 0.832
100 O 0.629 0.200 0.332
101 O 0.650 0.197 0.654
102 O 0.663 0.531 0.157
103 O 0.664 0.163 0.934
104 O 0.668 0.557 0.434
105 O 0.747 0.888 0.606
106 O 0.748 0.744 0.103
107 O 0.779 0.947 0.723
108 O 0.783 0.866 0.319
109 O 0.785 0.727 0.825
110 O 0.786 0.189 0.157
111 O 0.793 0.391 0.654
112 O 0.796 0.902 0.000
113 O 0.798 0.686 0.500
114 O 0.800 0.677 0.219
115 O 0.817 0.159 0.434
116 O 0.820 0.206 0.551
117 O 0.821 0.409 0.935
118 O 0.824 0.351 0.053
119 O 0.831 0.191 0.833
120 O 0.833 0.363 0.332
121 O 0.917 0.520 0.723
122 O 0.933 0.909 0.218
123 O 0.943 0.899 0.500
124 O 0.946 0.539 0.001
125 O 0.987 0.511 0.322
126 O 0.991 0.887 0.826